Record 1
# CaSc2O4

An optimized crystal structure of CaSc2O4 (r²SCAN, Materials Project).

```
CaSc2O4
1.0
3.146 0.000 0.000
0.000 9.461 0.000
0.000 0.000 11.125
Sc O Ca
8 16 4
direct
0.250 0.070 0.112
0.750 0.920 0.393
0.250 0.580 0.893
0.250 0.570 0.388
0.750 0.930 0.888
0.250 0.080 0.607
0.750 0.420 0.107
0.750 0.430 0.612
0.250 0.876 0.524
0.250 0.478 0.216
0.750 0.522 0.784
0.750 0.708 0.328
0.250 0.292 0.672
0.250 0.080 0.924
0.250 0.580 0.576
0.750 0.420 0.424
0.750 0.208 0.172
0.250 0.376 0.976
0.750 0.022 0.716
0.750 0.624 0.024
0.750 0.920 0.076
0.250 0.792 0.828
0.250 0.978 0.284
0.750 0.124 0.476
0.250 0.244 0.347
0.750 0.256 0.847
0.750 0.756 0.653
0.250 0.744 0.153
```

## Properties
energy relative to the elements	-25.851	eV per formula unit
space-group type	Pnma (62)

=====

Record 2
# Np

An optimized crystal structure of Np (r²SCAN, Materials Project).

```
Np
1.0
4.633 0.000 0.000
0.000 4.766 0.000
0.000 0.000 6.561
Np
8
direct
0.250 0.867 0.319
0.750 0.721 0.453
0.750 0.779 0.953
0.250 0.633 0.819
0.250 0.279 0.547
0.250 0.221 0.047
0.750 0.367 0.181
0.750 0.133 0.681
```

## Properties
energy relative to the elements	0.000	eV per formula unit
E above lowest polymorph	0	kJ/mol of formula units
space-group type	Pnma (62)

=====

Record 3
# CeSiIr

An optimized crystal structure of CeSiIr (r²SCAN, Materials Project).

```
CeSiIr
1.0
6.350 0.000 0.000
0.000 6.344 0.000
0.000 0.000 6.347
Ir Si Ce
4 4 4
direct
0.818 0.182 0.683
0.318 0.318 0.317
0.182 0.682 0.818
0.682 0.818 0.182
0.411 0.590 0.089
0.089 0.411 0.589
0.589 0.089 0.411
0.911 0.910 0.911
0.119 0.881 0.381
0.881 0.381 0.119
0.619 0.619 0.619
0.381 0.119 0.881
```

## Properties
energy relative to the elements	-3.197	eV per formula unit
space-group type	P2_13 (198)

=====

Record 4
# RbPSe3

An optimized crystal structure of RbPSe3 (r²SCAN, Materials Project).

```
RbPSe3
1.0
3.737 -6.473 0.000
3.737 6.473 0.000
0.000 0.000 19.366
Rb P Se
6 6 18
direct
0.314 0.733 0.418
0.582 0.267 0.248
0.418 0.686 0.085
0.267 0.582 0.752
0.733 0.314 0.582
0.686 0.418 0.915
0.028 0.104 0.947
0.972 0.076 0.386
0.076 0.972 0.614
0.897 0.924 0.281
0.924 0.897 0.719
0.103 0.028 0.053
0.159 0.918 0.887
0.957 0.700 0.060
0.242 0.082 0.780
0.743 0.043 0.726
0.043 0.743 0.274
0.758 0.841 0.553
0.300 0.257 0.393
0.700 0.957 0.940
0.918 0.159 0.113
0.082 0.242 0.220
0.206 0.426 0.925
0.794 0.220 0.408
0.425 0.205 0.075
0.575 0.780 0.258
0.220 0.794 0.592
0.841 0.758 0.447
0.257 0.300 0.607
0.780 0.574 0.742
```

## Properties
energy relative to the elements	-3.223	eV per formula unit
space-group type	P3_121 (152)

=====

Record 5
# NaTa4O8

An optimized crystal structure of NaTa4O8 (r²SCAN, Materials Project).

```
NaTa4O8
1.0
-3.570 5.145 -3.229
3.570 5.145 3.229
7.134 0.000 -6.452
Ta O Na
12 24 3
direct
0.668 0.894 0.113
0.162 0.404 0.620
0.602 0.398 0.604
0.101 0.899 0.100
0.596 0.838 0.620
0.396 0.604 0.396
0.330 0.106 0.885
0.106 0.332 0.113
0.899 0.101 0.897
0.401 0.162 0.381
0.894 0.670 0.885
0.838 0.599 0.381
0.100 0.628 0.042
0.323 0.407 0.264
0.082 0.582 0.753
0.671 0.672 0.000
0.870 0.400 0.545
0.593 0.677 0.264
0.898 0.371 0.958
0.916 0.410 0.250
0.404 0.871 0.452
0.129 0.596 0.452
0.418 0.918 0.753
0.909 0.819 0.236
0.091 0.186 0.765
0.600 0.129 0.545
0.629 0.102 0.958
0.407 0.323 0.735
0.372 0.900 0.042
0.814 0.909 0.765
0.190 0.191 0.500
0.590 0.084 0.250
0.677 0.593 0.735
0.809 0.810 0.500
0.328 0.329 0.000
0.181 0.091 0.236
0.908 0.092 0.406
0.378 0.622 0.884
0.621 0.379 0.113
```

## Properties
energy relative to the elements	-36.939	eV per formula unit
space-group type	Cm (8)

=====

Record 6
# GaH4NF4

An optimized crystal structure of GaH4NF4 (r²SCAN, Materials Project).

```
GaH4NF4
1.0
0.748 -7.168 1.489
-2.747 -2.700 6.271
-2.220 4.243 -5.588
F N H Ga
8 2 8 2
direct
0.184 0.684 0.868
0.145 0.145 0.000
0.855 0.855 0.000
0.816 0.316 0.132
0.355 0.355 0.000
0.316 0.184 0.500
0.684 0.816 0.500
0.645 0.645 0.000
0.250 0.750 0.500
0.750 0.250 0.500
0.315 0.815 0.724
0.685 0.185 0.276
0.591 0.315 0.500
0.185 0.909 0.500
0.909 0.409 0.724
0.815 0.091 0.500
0.091 0.591 0.276
0.409 0.685 0.500
0.500 0.500 0.000
0.000 0.000 0.000
```

## Properties
energy relative to the elements	-17.185	eV per formula unit
space-group type	I4/mcm (140)

=====

Record 7
# MgAlBi12O20

An optimized crystal structure of MgAlBi12O20 (r²SCAN, Materials Project).

```
MgAlBi12O20
1.0
-5.085 -4.937 5.028
-5.439 4.931 -5.380
5.081 -5.023 -5.115
Mg Bi O Al
1 12 20 1
direct
0.157 0.112 0.331
0.782 0.272 0.081
0.252 0.090 0.740
0.816 0.637 0.503
0.245 0.769 0.887
0.114 0.755 0.304
0.144 0.419 0.545
0.632 0.484 0.794
0.689 0.850 0.219
0.855 0.211 0.709
0.295 0.448 0.160
0.504 0.158 0.303
0.528 0.812 0.657
0.059 0.974 0.439
0.023 0.950 0.777
0.355 0.318 0.571
0.178 0.200 0.154
0.661 0.761 0.407
0.128 0.340 0.756
0.402 0.780 0.143
0.599 0.221 0.819
0.753 0.119 0.374
0.792 0.017 0.944
0.754 0.383 0.637
0.441 0.040 0.015
0.277 0.565 0.398
0.422 0.674 0.794
0.993 0.393 0.012
0.240 0.838 0.622
0.849 0.581 0.224
0.049 0.883 0.100
0.681 0.661 0.675
0.574 0.389 0.281
0.991 0.991 0.969
```

## Properties
energy relative to the elements	-49.021	eV per formula unit
space-group type	P1 (1)

=====

Record 8
# Th3Al2

An optimized crystal structure of Th3Al2 (r²SCAN, Materials Project).

```
Th3Al2
1.0
-3.638 -0.498 0.896
0.774 -8.386 -1.513
2.187 -1.273 8.174
Th Al
6 4
direct
0.500 0.818 0.318
0.000 0.000 0.000
0.500 0.182 0.682
0.500 0.682 0.818
0.500 0.318 0.182
0.000 0.500 0.500
0.000 0.612 0.112
0.000 0.112 0.388
0.000 0.888 0.612
0.000 0.388 0.888
```

## Properties
energy relative to the elements	-1.279	eV per formula unit
space-group type	P4/mbm (127)